Record 1
DFT (PBE) results for a relaxed structure of Hf3Sc4O12.

Energy above the most stable polymorph in this dataset ... 0 meV per atom
Spin magnetization ... 0.002 μB per formula unit
Volume ... 11.81 Å³ per atom
Final energy ... -9.573 eV per atom

Cell lengths 6.178, 6.193, 18.152 Å; angles 96.71, 96.82, 99.65 degrees
Fractional coordinates of all 57 atoms:
O 0.451 0.672 0.353
O 0.771 0.011 0.187
Hf 0.335 0.337 0.332
O 0.635 0.247 0.307
O 0.856 0.698 0.273
O 0.295 0.908 0.973
Hf 0.669 0.670 0.665
Sc 0.994 0.998 0.999
Hf 0.507 0.038 0.897
Sc 0.736 0.442 0.046
O 0.551 0.329 0.647
Hf 0.825 0.299 0.436
Sc 0.065 0.773 0.380
O 0.167 0.007 0.107
Sc 0.603 0.786 0.464
Hf 0.063 0.888 0.203
Sc 0.834 0.370 0.227
O 0.493 0.333 0.439
Sc 0.942 0.227 0.622
Sc 0.166 0.701 0.559
O 0.699 0.093 0.026
Sc 0.607 0.893 0.288
O 0.969 0.580 0.641
O 0.822 0.976 0.395
O 0.042 0.438 0.858
O 0.374 0.780 0.192
O 0.117 0.339 0.021
O 0.103 0.341 0.522
O 0.388 0.757 0.703
Hf 0.394 0.221 0.538
O 0.705 0.115 0.527
Sc 0.270 0.449 0.131
O 0.559 0.318 0.140
Sc 0.933 0.110 0.797
Hf 0.493 0.972 0.102
O 0.499 0.361 0.940
O 0.496 0.641 0.559
O 0.226 0.982 0.811
O 0.835 0.674 0.773
O 0.782 0.007 0.685
O 0.905 0.647 0.977
O 0.430 0.681 0.861
O 0.962 0.572 0.141
O 0.887 0.647 0.474
O 0.486 0.647 0.059
Hf 0.159 0.629 0.769
O 0.156 0.308 0.728
O 0.164 0.310 0.225
O 0.822 0.978 0.892
O 0.190 0.028 0.606
Sc 0.401 0.106 0.714
O 0.624 0.226 0.810
O 0.295 0.903 0.475
Sc 0.727 0.556 0.869
O 0.052 0.423 0.367
Hf 0.251 0.562 0.956
O 0.219 0.994 0.312



Record 2
DFT (PBE) results for a relaxed structure of Hf3Sc4O12.

Energy above the most stable polymorph in this dataset ... 0 meV per atom
Volume ... 11.83 Å³ per atom
Final energy ... -9.573 eV per atom

Cell lengths 6.178, 6.186, 12.316 Å; angles 99.33, 99.30, 99.51 degrees
Fractional coordinates of all 38 atoms:
Sc 0.607 0.318 0.819
Sc 0.863 0.395 0.094
Hf 0.141 0.612 0.407
O 0.907 0.061 0.590
O 0.821 0.583 0.963
O 0.948 0.321 0.299
O 0.175 0.419 0.536
Hf 0.316 0.142 0.056
Hf 0.684 0.858 0.944
O 0.093 0.939 0.410
O 0.179 0.417 0.037
Sc 0.680 0.860 0.444
O 0.060 0.677 0.210
O 0.052 0.679 0.701
Hf 0.995 0.998 0.251
O 0.683 0.908 0.782
O 0.576 0.415 0.159
O 0.573 0.175 0.960
O 0.940 0.323 0.790
Hf 0.005 0.002 0.749
Sc 0.137 0.605 0.906
O 0.091 0.945 0.912
O 0.424 0.585 0.841
Sc 0.320 0.140 0.556
O 0.415 0.817 0.537
Sc 0.609 0.313 0.320
O 0.580 0.426 0.660
O 0.323 0.092 0.722
O 0.427 0.825 0.040
O 0.420 0.574 0.340
Hf 0.859 0.388 0.593
O 0.909 0.055 0.088
O 0.585 0.183 0.463
Sc 0.391 0.687 0.680
O 0.825 0.581 0.464
Sc 0.393 0.682 0.181
O 0.317 0.092 0.218
O 0.677 0.908 0.278



Calculated E_form, -3.9767, -3.9769 eV/atom (same order as the records).